[1]
A geometry-optimized Li4Ti3Mn4Cr2O18 structure, computed with PBE with a Hubbard U.

Output
Energy with MP2020 corrections ... -8.199 eV per atom
Magnetization ... 20.0 μB/f.u.
Energy of formation from the pure elements ... -2.510 eV/atom

CIF file:
```
data_Li4Ti3Mn4Cr2O18
_symmetry_space_group_name_H-M 'P m c 21'
_symmetry_Int_Tables_number 26
_symmetry_space_group_name_Hall 'P 2c -2'
_cell_length_a 2.936
_cell_length_b 9.100
_cell_length_c 25.289
_cell_angle_alpha 90.00
_cell_angle_beta 90.00
_cell_angle_gamma 90.00
loop_
_atom_site_label
_atom_site_type_symbol
_atom_site_fract_x
_atom_site_fract_y
_atom_site_fract_z
_atom_site_occupancy
Li1 Li 0.000 0.050 0.000 1
Li2 Li 0.000 0.067 0.787 1
Li3 Li 0.000 0.432 0.788 1
Li4 Li 0.000 0.444 0.596 1
Ti1 Ti 0.000 0.245 0.896 1
Ti2 Ti 0.000 0.247 0.685 1
Ti3 Ti 0.500 0.397 0.987 1
Mn1 Mn 0.000 0.226 0.104 1
Mn2 Mn 0.000 0.262 0.481 1
Mn3 Mn 0.500 0.109 0.378 1
Mn4 Mn 0.500 0.390 0.204 1
Cr1 Cr 0.000 0.250 0.291 1
Cr2 Cr 0.500 0.103 0.597 1
O1 O 0.000 0.031 0.879 1
O2 O 0.000 0.067 0.650 1
O3 O 0.000 0.136 0.547 1
O4 O 0.000 0.247 0.370 1
O5 O 0.000 0.251 0.212 1
O6 O 0.000 0.364 0.034 1
O7 O 0.000 0.429 0.934 1
O8 O 0.000 0.472 0.703 1
O9 O 0.500 0.099 0.300 1
O10 O 0.500 0.110 0.076 1
O11 O 0.500 0.139 0.453 1
O12 O 0.500 0.198 0.953 1
O13 O 0.500 0.214 0.733 1
O14 O 0.500 0.285 0.850 1
O15 O 0.500 0.307 0.631 1
O16 O 0.500 0.356 0.129 1
O17 O 0.500 0.392 0.502 1
O18 O 0.500 0.401 0.282 1
```

---

[2]
A geometry-optimized Li3AlCrO5 structure, computed with PBE with a Hubbard U.

Output
Energy with MP2020 corrections ... -6.923 eV per atom
Magnetization ... 2.0 μB/f.u.
Energy of formation from the pure elements ... -2.537 eV/atom

CIF file:
```
data_Li3AlCrO5
_symmetry_space_group_name_H-M 'P n a 21'
_symmetry_Int_Tables_number 33
_symmetry_space_group_name_Hall 'P 2c -2n'
_cell_length_a 5.422
_cell_length_b 16.078
_cell_length_c 4.963
_cell_angle_alpha 90.00
_cell_angle_beta 90.00
_cell_angle_gamma 90.00
loop_
_atom_site_label
_atom_site_type_symbol
_atom_site_fract_x
_atom_site_fract_y
_atom_site_fract_z
_atom_site_occupancy
Li1 Li 0.162 0.001 0.000 1
Li2 Li 0.163 0.200 0.989 1
Li3 Li 0.172 0.601 0.997 1
Al1 Al 0.172 0.798 0.988 1
Cr1 Cr 0.160 0.403 0.997 1
O1 O 0.143 0.211 0.584 1
O2 O 0.150 0.602 0.595 1
O3 O 0.182 0.807 0.627 1
O4 O 0.188 0.993 0.601 1
O5 O 0.191 0.390 0.624 1
```

---

[3]
A geometry-optimized Sr2CrCu2O7 structure, computed with PBE with a Hubbard U.

Output
Energy with MP2020 corrections ... -6.524 eV per atom
Magnetization ... 1.8 μB/f.u.
Energy of formation from the pure elements ... -1.868 eV/atom

CIF file:
```
data_Sr2CrCu2O7
_symmetry_space_group_name_H-M 'I m a 2'
_symmetry_Int_Tables_number 46
_symmetry_space_group_name_Hall 'I 2 -2a'
_cell_length_a 25.072
_cell_length_b 5.311
_cell_length_c 5.161
_cell_angle_alpha 90.00
_cell_angle_beta 90.00
_cell_angle_gamma 90.00
loop_
_atom_site_label
_atom_site_type_symbol
_atom_site_fract_x
_atom_site_fract_y
_atom_site_fract_z
_atom_site_occupancy
Sr1 Sr 0.145 0.009 0.000 1
Cr1 Cr 0.250 0.568 0.932 1
Cu1 Cu 0.061 0.502 0.002 1
O1 O 0.075 0.249 0.252 1
O2 O 0.078 0.750 0.252 1
O3 O 0.186 0.043 0.520 1
O4 O 0.250 0.609 0.576 1
```

---

[4]
A geometry-optimized DyCrGeO5 structure, computed with PBE with a Hubbard U.

Output
Energy with MP2020 corrections ... -8.291 eV per atom
Magnetization ... 3.0 μB/f.u.
Energy of formation from the pure elements ... -2.838 eV/atom

CIF file:
```
data_DyCrGeO5
_symmetry_space_group_name_H-M 'P b a m'
_symmetry_Int_Tables_number 55
_symmetry_space_group_name_Hall '-P 2 2ab'
_cell_length_a 7.453
_cell_length_b 8.486
_cell_length_c 5.811
_cell_angle_alpha 90.00
_cell_angle_beta 90.00
_cell_angle_gamma 90.00
loop_
_atom_site_label
_atom_site_type_symbol
_atom_site_fract_x
_atom_site_fract_y
_atom_site_fract_z
_atom_site_occupancy
Dy1 Dy 0.143 0.173 0.000 1
Cr1 Cr 0.000 0.500 0.250 1
Ge1 Ge 0.117 0.856 0.500 1
O1 O 0.000 0.000 0.288 1
O2 O 0.112 0.717 0.250 1
O3 O 0.156 0.418 0.500 1
O4 O 0.168 0.442 0.000 1
```

---

[5]
A geometry-optimized V2Zn2O7 structure, computed with PBE with a Hubbard U.

Output
Offset from the most stable computed form ... 3.1 kJ/mol of atoms
Energy with MP2020 corrections ... -7.168 eV per atom
Magnetization ... 0.0 μB/f.u.
Energy of formation from the pure elements ... -2.138 eV/atom

CIF file:
```
data_V2Zn2O7
_symmetry_space_group_name_H-M 'C 1 2/m 1'
_symmetry_Int_Tables_number 12
_symmetry_space_group_name_Hall '-C 2y'
_cell_length_a 7.004
_cell_length_b 8.518
_cell_length_c 5.095
_cell_angle_alpha 90.00
_cell_angle_beta 108.25
_cell_angle_gamma 90.00
loop_
_atom_site_label
_atom_site_type_symbol
_atom_site_fract_x
_atom_site_fract_y
_atom_site_fract_z
_atom_site_occupancy
V1 V 0.223 0.000 0.403 1
Zn1 Zn 0.000 0.316 0.000 1
O1 O 0.000 0.000 0.500 1
O2 O 0.081 0.500 0.275 1
O3 O 0.214 0.167 0.210 1
```

---

[6]
A geometry-optimized Li2V3SnO8 structure, computed with PBE with a Hubbard U.

Output
Offset from the most stable computed form ... 4.4 kJ/mol of atoms
Energy with MP2020 corrections ... -7.717 eV per atom
Magnetization ... 5.0 μB/f.u.
Energy of formation from the pure elements ... -2.384 eV/atom

CIF file:
```
data_Li2V3SnO8
_symmetry_space_group_name_H-M 'R -3 m'
_symmetry_Int_Tables_number 166
_symmetry_space_group_name_Hall '-R 3 2"'
_cell_length_a 6.0358
_cell_length_b 6.0358
_cell_length_c 15.2565
_cell_angle_alpha 90.00
_cell_angle_beta 90.00
_cell_angle_gamma 120.00
loop_
_atom_site_label
_atom_site_type_symbol
_atom_site_fract_x
_atom_site_fract_y
_atom_site_fract_z
_atom_site_occupancy
Li1 Li 0.0000 0.0000 0.1232 1
V1 V 0.0000 0.5000 0.0000 1
Sn1 Sn 0.0000 0.0000 0.5000 1
O1 O 0.0000 0.0000 0.2690 1
O2 O 0.0269 0.5135 0.2558 1
```

---

[7]
A geometry-optimized Ba6Nd2Fe4O15 structure, computed with PBE with a Hubbard U.

Output
Energy with MP2020 corrections ... -7.465 eV per atom
Magnetization ... 20.0 μB/f.u.
Energy of formation from the pure elements ... -2.682 eV/atom

CIF file:
```
data_Ba6Nd2Fe4O15
_symmetry_space_group_name_H-M 'C 1 c 1'
_symmetry_Int_Tables_number 9
_symmetry_space_group_name_Hall 'C -2yc'
_cell_length_a 12.030
_cell_length_b 20.639
_cell_length_c 7.173
_cell_angle_alpha 90.00
_cell_angle_beta 90.32
_cell_angle_gamma 90.00
loop_
_atom_site_label
_atom_site_type_symbol
_atom_site_fract_x
_atom_site_fract_y
_atom_site_fract_z
_atom_site_occupancy
Ba1 Ba 0.000 0.001 0.000 1
Ba2 Ba 0.000 0.334 0.025 1
Ba3 Ba 0.003 0.175 0.341 1
Ba4 Ba 0.217 0.262 0.675 1
Ba5 Ba 0.241 0.412 0.341 1
Ba6 Ba 0.261 0.087 0.842 1
Nd1 Nd 0.001 0.479 0.666 1
Nd2 Nd 0.283 0.239 0.173 1
Fe1 Fe 0.002 0.335 0.479 1
Fe2 Fe 0.003 0.179 0.839 1
Fe3 Fe 0.230 0.412 0.847 1
Fe4 Fe 0.271 0.087 0.333 1
O1 O 0.001 0.419 0.333 1
O2 O 0.008 0.097 0.731 1
O3 O 0.121 0.382 0.665 1
O4 O 0.122 0.295 0.326 1
O5 O 0.129 0.195 0.997 1
O6 O 0.134 0.469 0.977 1
O7 O 0.148 0.044 0.234 1
O8 O 0.232 0.164 0.449 1
O9 O 0.270 0.339 0.998 1
O10 O 0.353 0.451 0.738 1
O11 O 0.368 0.031 0.472 1
O12 O 0.368 0.304 0.455 1
O13 O 0.377 0.121 0.158 1
O14 O 0.380 0.205 0.844 1
O15 O 0.491 0.249 0.163 1
```

---

[8]
A geometry-optimized EuMgSnWO6 structure, computed with PBE with a Hubbard U.

Output
Energy with MP2020 corrections ... -8.337 eV per atom
Magnetization ... 7.0 μB/f.u.
Energy of formation from the pure elements ... -2.486 eV/atom

CIF file:
```
data_EuMgSnWO6
_symmetry_space_group_name_H-M 'F -4 3 m'
_symmetry_Int_Tables_number 216
_symmetry_space_group_name_Hall 'F -4 2 3'
_cell_length_a 8.024
_cell_length_b 8.024
_cell_length_c 8.024
_cell_angle_alpha 90.00
_cell_angle_beta 90.00
_cell_angle_gamma 90.00
loop_
_atom_site_label
_atom_site_type_symbol
_atom_site_fract_x
_atom_site_fract_y
_atom_site_fract_z
_atom_site_occupancy
Eu1 Eu 0.000 0.000 0.000 1
Mg1 Mg 0.250 0.250 0.750 1
Sn1 Sn 0.000 0.000 0.500 1
W1 W 0.250 0.250 0.250 1
O1 O 0.007 0.250 0.250 1
```

---

[9]
A geometry-optimized Li4Ti3Co3O12 structure, computed with PBE with a Hubbard U.

Output
Energy with MP2020 corrections ... -7.522 eV per atom
Magnetization ... 0.0 μB/f.u.
Energy of formation from the pure elements ... -2.430 eV/atom

CIF file:
```
data_Li4Ti3Co3O12
_symmetry_space_group_name_H-M 'P -1'
_symmetry_Int_Tables_number 2
_symmetry_space_group_name_Hall '-P 1'
_cell_length_a 7.945
_cell_length_b 7.951
_cell_length_c 8.327
_cell_angle_alpha 73.78
_cell_angle_beta 75.70
_cell_angle_gamma 65.66
loop_
_atom_site_label
_atom_site_type_symbol
_atom_site_fract_x
_atom_site_fract_y
_atom_site_fract_z
_atom_site_occupancy
Li1 Li 0.000 0.000 0.000 1
Li2 Li 0.146 0.189 0.137 1
Li3 Li 0.252 0.747 0.252 1
Li4 Li 0.341 0.320 0.350 1
Li5 Li 0.500 0.500 0.500 1
Ti1 Ti 0.068 0.578 0.604 1
Ti2 Ti 0.255 0.754 0.738 1
Ti3 Ti 0.426 0.911 0.910 1
Co1 Co 0.000 0.000 0.500 1
Co2 Co 0.166 0.165 0.668 1
Co3 Co 0.337 0.334 0.832 1
Co4 Co 0.500 0.500 0.000 1
O1 O 0.024 0.983 0.749 1
O2 O 0.074 0.581 0.352 1
O3 O 0.099 0.592 0.816 1
O4 O 0.148 0.189 0.437 1
O5 O 0.196 0.147 0.895 1
O6 O 0.231 0.741 0.517 1
O7 O 0.274 0.758 0.982 1
O8 O 0.304 0.353 0.603 1
O9 O 0.346 0.311 0.067 1
O10 O 0.405 0.907 0.683 1
O11 O 0.429 0.914 0.147 1
O12 O 0.479 0.515 0.752 1
```

---

[10]
A geometry-optimized Mn6O5F7 structure, computed with PBE with a Hubbard U.

Output
Offset from the most stable computed form ... 3.4 kJ/mol of atoms
Energy with MP2020 corrections ... -7.578 eV per atom
Magnetization ... 25.0 μB/f.u.
Energy of formation from the pure elements ... -2.405 eV/atom

CIF file:
```
data_Mn6O5F7
_symmetry_space_group_name_H-M 'P 1'
_symmetry_Int_Tables_number 1
_symmetry_space_group_name_Hall 'P 1'
_cell_length_a 4.728
_cell_length_b 5.725
_cell_length_c 15.632
_cell_angle_alpha 89.60
_cell_angle_beta 88.85
_cell_angle_gamma 86.65
loop_
_atom_site_label
_atom_site_type_symbol
_atom_site_fract_x
_atom_site_fract_y
_atom_site_fract_z
_atom_site_occupancy
Mn1 Mn 0.000 0.000 0.000 1
Mn2 Mn 0.001 0.999 0.336 1
Mn3 Mn 0.015 0.296 0.497 1
Mn4 Mn 0.022 0.000 0.667 1
Mn5 Mn 0.456 0.483 0.675 1
Mn6 Mn 0.460 0.819 0.829 1
Mn7 Mn 0.464 0.811 0.496 1
Mn8 Mn 0.472 0.480 0.333 1
Mn9 Mn 0.498 0.498 0.996 1
Mn10 Mn 0.509 0.823 0.153 1
Mn11 Mn 0.972 0.289 0.170 1
Mn12 Mn 0.986 0.284 0.838 1
O1 O 0.195 0.254 0.728 1
O2 O 0.207 0.032 0.891 1
O3 O 0.217 0.039 0.553 1
O4 O 0.220 0.256 0.390 1
O5 O 0.259 0.767 0.728 1
O6 O 0.261 0.759 0.389 1
O7 O 0.282 0.764 0.048 1
O8 O 0.765 0.251 0.281 1
O9 O 0.767 0.264 0.946 1
O10 O 0.794 0.037 0.110 1
F1 F 0.243 0.270 0.065 1
F2 F 0.245 0.031 0.226 1
F3 F 0.250 0.540 0.560 1
F4 F 0.256 0.532 0.215 1
F5 F 0.260 0.529 0.891 1
F6 F 0.712 0.768 0.930 1
F7 F 0.714 0.771 0.608 1
F8 F 0.724 0.532 0.783 1
F9 F 0.724 0.750 0.274 1
F10 F 0.728 0.537 0.450 1
F11 F 0.742 0.030 0.769 1
F12 F 0.742 0.535 0.100 1
F13 F 0.751 0.035 0.445 1
F14 F 0.760 0.270 0.608 1
```

---

[11]
A geometry-optimized BaYCuNiO5 structure, computed with PBE with a Hubbard U.

Output
Energy with MP2020 corrections ... -7.043 eV per atom
Magnetization ... 0.9 μB/f.u.
Energy of formation from the pure elements ... -2.265 eV/atom

CIF file:
```
data_BaYCuNiO5
_symmetry_space_group_name_H-M 'P 4 m m'
_symmetry_Int_Tables_number 99
_symmetry_space_group_name_Hall 'P 4 -2'
_cell_length_a 3.886
_cell_length_b 3.886
_cell_length_c 7.555
_cell_angle_alpha 90.00
_cell_angle_beta 90.00
_cell_angle_gamma 90.00
loop_
_atom_site_label
_atom_site_type_symbol
_atom_site_fract_x
_atom_site_fract_y
_atom_site_fract_z
_atom_site_occupancy
Ba1 Ba 0.000 0.000 0.000 1
Y1 Y 0.000 0.000 0.502 1
Cu1 Cu 0.500 0.500 0.266 1
Ni1 Ni 0.500 0.500 0.735 1
O1 O 0.000 0.500 0.312 1
O2 O 0.000 0.500 0.686 1
O3 O 0.500 0.500 0.997 1
```

---

[12]
A geometry-optimized RbCrH8N2O8 structure, computed with PBE with a Hubbard U.

Output
Energy with MP2020 corrections ... -5.363 eV per atom
Magnetization ... 1.0 μB/f.u.
Energy of formation from the pure elements ... -0.661 eV/atom

CIF file:
```
data_RbCrH8N2O8
_symmetry_space_group_name_H-M 'I -4 2 m'
_symmetry_Int_Tables_number 121
_symmetry_space_group_name_Hall 'I -4 2'
_cell_length_a 7.044
_cell_length_b 7.044
_cell_length_c 8.358
_cell_angle_alpha 90.00
_cell_angle_beta 90.00
_cell_angle_gamma 90.00
loop_
_atom_site_label
_atom_site_type_symbol
_atom_site_fract_x
_atom_site_fract_y
_atom_site_fract_z
_atom_site_occupancy
Rb1 Rb 0.000 0.000 0.000 1
Cr1 Cr 0.000 0.000 0.500 1
H1 H 0.036 0.382 0.681 1
N1 N 0.000 0.500 0.250 1
O1 O 0.134 0.134 0.666 1
O2 O 0.198 0.198 0.509 1
```